[1]
The following is a r²SCAN calculation of crystalline MnH8C3N2O6 at its relaxed geometry, from the Materials Project database.

```
MnH8C3N2O6
1.0
-4.604 3.508 -6.798
-4.513 -6.333 -0.211
-7.317 4.963 7.517
O H N C Mn
24 32 8 12 4
direct
0.642 0.264 0.180
0.331 0.423 0.184
0.506 0.642 0.454
0.447 0.731 0.038
0.494 0.358 0.954
0.553 0.269 0.538
0.947 0.769 0.038
0.142 0.236 0.180
0.831 0.077 0.184
0.169 0.923 0.684
0.006 0.858 0.454
0.994 0.142 0.954
0.429 0.348 0.768
0.053 0.231 0.538
0.858 0.764 0.680
0.759 0.580 0.037
0.669 0.577 0.684
0.358 0.736 0.680
0.259 0.920 0.037
0.741 0.080 0.537
0.241 0.420 0.537
0.071 0.848 0.268
0.929 0.152 0.768
0.571 0.652 0.268
0.352 0.985 0.902
0.422 0.104 0.442
0.922 0.396 0.442
0.095 0.395 0.929
0.651 0.817 0.617
0.584 0.088 0.275
0.213 0.240 0.662
0.849 0.317 0.117
0.595 0.105 0.929
0.943 0.930 0.860
0.405 0.895 0.429
0.557 0.430 0.360
0.578 0.896 0.942
0.078 0.604 0.942
0.443 0.570 0.860
0.287 0.740 0.162
0.151 0.683 0.617
0.581 0.873 0.303
0.713 0.260 0.662
0.916 0.588 0.775
0.905 0.605 0.429
0.852 0.515 0.902
0.648 0.015 0.402
0.081 0.627 0.303
0.084 0.412 0.275
0.419 0.127 0.803
0.919 0.373 0.803
0.349 0.183 0.117
0.787 0.760 0.162
0.148 0.485 0.402
0.057 0.070 0.360
0.416 0.912 0.775
0.082 0.506 0.883
0.431 0.004 0.838
0.931 0.496 0.838
0.918 0.494 0.383
0.418 0.006 0.383
0.069 0.504 0.338
0.569 0.996 0.338
0.582 0.994 0.883
0.223 0.778 0.659
0.277 0.278 0.159
0.830 0.705 0.081
0.330 0.795 0.081
0.045 0.929 0.361
0.670 0.205 0.581
0.545 0.571 0.361
0.723 0.722 0.659
0.170 0.295 0.581
0.955 0.071 0.861
0.455 0.429 0.861
0.777 0.222 0.159
0.955 0.999 0.610
0.455 0.501 0.610
0.045 0.001 0.110
0.545 0.499 0.110
```

Calculated total energy, eV per atom: -7.13
Total moment, μB per formula unit: 0.0

***

[2]
The following is a r²SCAN calculation of crystalline MnH9C4NO6 at its relaxed geometry, from the Materials Project database.

```
MnH9C4NO6
1.0
8.294 0.000 -0.014
0.000 8.396 0.000
-7.388 0.000 11.877
H O C Mn N
36 24 16 4 4
direct
0.112 0.420 0.267
0.814 0.497 0.243
0.158 0.140 0.662
0.734 0.228 0.461
0.112 0.080 0.767
0.151 0.646 0.170
0.313 0.647 0.309
0.688 0.791 0.973
0.656 0.644 0.693
0.344 0.356 0.307
0.688 0.709 0.473
0.158 0.360 0.162
0.687 0.147 0.191
0.842 0.860 0.338
0.626 0.417 0.783
0.842 0.640 0.838
0.656 0.856 0.193
0.734 0.272 0.961
0.313 0.853 0.809
0.186 0.503 0.757
0.374 0.917 0.717
0.626 0.083 0.283
0.849 0.354 0.830
0.374 0.583 0.217
0.344 0.144 0.807
0.266 0.772 0.539
0.888 0.580 0.733
0.888 0.920 0.233
0.814 0.003 0.743
0.186 0.997 0.257
0.266 0.728 0.039
0.312 0.291 0.527
0.312 0.209 0.027
0.151 0.854 0.670
0.687 0.353 0.691
0.849 0.146 0.330
0.025 0.232 0.939
0.975 0.732 0.561
0.136 0.896 0.917
0.719 0.979 0.850
0.281 0.479 0.650
0.975 0.768 0.061
0.136 0.604 0.417
0.025 0.268 0.439
0.469 0.040 0.337
0.531 0.960 0.663
0.864 0.396 0.583
0.217 0.413 0.936
0.469 0.460 0.837
0.217 0.087 0.436
0.365 0.765 0.434
0.635 0.235 0.566
0.365 0.735 0.934
0.635 0.265 0.066
0.783 0.913 0.564
0.531 0.540 0.163
0.719 0.521 0.350
0.281 0.021 0.150
0.783 0.587 0.064
0.864 0.104 0.083
0.745 0.214 0.035
0.217 0.418 0.243
0.783 0.582 0.757
0.811 0.716 0.031
0.255 0.714 0.465
0.692 0.518 0.253
0.745 0.286 0.535
0.255 0.786 0.965
0.189 0.284 0.969
0.811 0.784 0.531
0.692 0.982 0.753
0.217 0.082 0.743
0.783 0.918 0.257
0.189 0.216 0.469
0.308 0.018 0.247
0.308 0.482 0.747
0.000 0.000 0.000
0.500 0.500 0.000
0.000 0.500 0.500
0.500 0.000 0.500
0.268 0.585 0.234
0.732 0.415 0.766
0.732 0.085 0.266
0.268 0.915 0.734
```

Calculated total energy, eV per atom: -7.04
Total moment, μB per formula unit: 0.0

***

[3]
The following is a r²SCAN calculation of crystalline MnH9C4NO6 at its relaxed geometry, from the Materials Project database.

```
MnH9C4NO6
1.0
-3.672 -4.046 -6.296
-8.196 -4.211 7.487
-4.798 6.681 -1.495
C O H N Mn
16 24 36 4 4
direct
0.285 0.034 0.784
0.285 0.466 0.784
0.919 0.750 0.475
0.419 0.750 0.025
0.715 0.966 0.216
0.215 0.534 0.284
0.785 0.034 0.716
0.715 0.534 0.216
0.984 0.250 0.062
0.081 0.250 0.525
0.516 0.750 0.562
0.785 0.466 0.716
0.484 0.250 0.438
0.215 0.966 0.284
0.581 0.250 0.975
0.016 0.750 0.938
0.470 0.156 0.368
0.905 0.424 0.785
0.595 0.576 0.285
0.030 0.844 0.868
0.030 0.656 0.868
0.595 0.924 0.285
0.470 0.344 0.368
0.530 0.656 0.632
0.405 0.076 0.715
0.765 0.937 0.078
0.235 0.437 0.922
0.735 0.437 0.578
0.970 0.156 0.132
0.735 0.063 0.578
0.095 0.576 0.215
0.265 0.937 0.422
0.765 0.563 0.078
0.095 0.924 0.215
0.235 0.063 0.922
0.405 0.424 0.715
0.265 0.563 0.422
0.530 0.844 0.632
0.970 0.344 0.132
0.905 0.076 0.785
0.141 0.325 0.480
0.641 0.175 0.020
0.918 0.750 0.345
0.491 0.750 0.433
0.090 0.750 0.654
0.410 0.250 0.154
0.649 0.679 0.010
0.149 0.821 0.490
0.216 0.968 0.722
0.509 0.250 0.567
0.284 0.468 0.222
0.418 0.750 0.155
0.216 0.532 0.722
0.641 0.325 0.020
0.991 0.750 0.067
0.284 0.032 0.222
0.784 0.468 0.278
0.009 0.250 0.933
0.649 0.821 0.010
0.582 0.250 0.845
0.351 0.321 0.990
0.716 0.968 0.778
0.359 0.825 0.980
0.784 0.032 0.278
0.590 0.750 0.846
0.859 0.675 0.520
0.910 0.250 0.346
0.351 0.179 0.990
0.141 0.175 0.480
0.851 0.321 0.510
0.082 0.250 0.655
0.851 0.179 0.510
0.149 0.679 0.490
0.859 0.825 0.520
0.716 0.532 0.778
0.359 0.675 0.980
0.088 0.750 0.531
0.588 0.750 0.969
0.912 0.250 0.469
0.412 0.250 0.031
0.500 0.000 0.500
0.500 0.500 0.500
0.000 0.000 0.000
0.000 0.500 0.000
```

Calculated total energy, eV per atom: -7.04
Total moment, μB per formula unit: 0.0